1.
VOF3 | the Materials Project database | GGA+U | optimized geometry; uncorrected energy = -5.89 eV per atom; DFT formation energy = -2.69 eV per atom; largest piezoelectric modulus = 0.29 C/m2; MP2020-corrected energy = -6.6469 eV per atom; calculated volume = 15.49 Å³/atom
1.0
5.227 0.000 0.000
0.000 5.858 0.000
0.000 0.000 10.116
V O F
4 4 12
Direct
0.224 0.116 0.104
0.276 0.884 0.604
0.724 0.384 0.896
0.776 0.616 0.396
0.119 0.688 0.523
0.381 0.312 0.023
0.619 0.812 0.477
0.881 0.188 0.977
0.007 0.231 0.222
0.048 0.977 0.719
0.214 0.862 0.011
0.286 0.138 0.511
0.452 0.023 0.219
0.493 0.769 0.722
0.507 0.269 0.778
0.548 0.523 0.281
0.714 0.638 0.989
0.786 0.362 0.489
0.952 0.477 0.781
0.993 0.731 0.278

2.
V3OF7 | the Materials Project database | GGA+U | optimized geometry; uncorrected energy = -6.35 eV per atom; DFT formation energy = -3.02 eV per atom; E above lowest polymorph = 0.000 eV per atom; MP2020-corrected energy = -7.1682 eV per atom; calculated volume = 14.17 Å³/atom
1.0
4.033 0.000 0.000
-2.014 7.722 0.000
-0.008 -0.027 10.010
V O F
6 2 14
Direct
0.000 0.000 0.000
0.001 0.001 0.645
0.139 0.279 0.323
0.221 0.438 0.825
0.357 0.715 0.501
0.359 0.717 0.146
0.392 0.779 0.324
0.969 0.937 0.822
0.047 0.092 0.460
0.048 0.096 0.191
0.125 0.248 0.962
0.126 0.255 0.692
0.234 0.465 0.456
0.234 0.470 0.186
0.312 0.623 0.956
0.313 0.625 0.687
0.477 0.955 0.038
0.481 0.961 0.605
0.642 0.284 0.324
0.717 0.433 0.825
0.878 0.755 0.539
0.882 0.764 0.107

3.
V4O7F5 | the Materials Project database | GGA+U | optimized geometry; uncorrected energy = -6.69 eV per atom; DFT formation energy = -2.52 eV per atom; E above lowest polymorph = 0.034 eV per atom; MP2020-corrected energy = -7.5568 eV per atom; calculated volume = 13.39 Å³/atom
1.0
5.349 0.000 0.000
-0.043 5.421 0.000
-0.096 -0.063 7.388
V O F
4 7 5
Direct
0.000 0.000 0.000
0.010 0.933 0.489
0.508 0.427 0.509
0.520 0.504 0.014
0.313 0.191 0.463
0.325 0.737 0.023
0.486 0.465 0.735
0.599 0.455 0.233
0.772 0.190 0.945
0.776 0.733 0.509
0.976 0.978 0.226
0.117 0.951 0.745
0.265 0.242 0.011
0.276 0.685 0.446
0.814 0.240 0.526
0.821 0.691 0.951

Q: Which of these has the lowest DFT formation energy?
A: V3OF7

Q: Look up the MP2020-corrected energy of the second one.
A: -7.1682 eV per atom

Q: What is the formula in the third record?
A: V4O7F5

Q: The lowest uncorrected energy belongs to which entry?
A: V4O7F5